# K3Nb7O19, optimized geometry, DFT PBE
# ΔH_f (0 K)   -2965.7 meV per atom
data_K3Nb7O19
_chemical_formula_sum 'K6 Nb14 O38'
_cell_length_a 6.567
_cell_length_b 10.113
_cell_length_c 14.391
_cell_angle_alpha 97.36
_cell_angle_beta 95.69
_cell_angle_gamma 106.52
_symmetry_space_group_name_H-M 'P -1'
_symmetry_Int_Tables_number 2
loop_
_symmetry_equiv_pos_as_xyz
'x,y,z'
'-x,-y,-z'
loop_
_atom_site_label
_atom_site_type_symbol
_atom_site_fract_x
_atom_site_fract_y
_atom_site_fract_z
_atom_site_occupancy
K1 K 0.006 0.324 0.404 1
K2 K 0.358 0.524 0.134 1
K3 K 0.411 0.091 0.710 1
Nb1 Nb 0.003 0.655 0.312 1
Nb2 Nb 0.158 0.720 0.848 1
Nb3 Nb 0.171 0.817 0.081 1
Nb4 Nb 0.221 0.028 0.463 1
Nb5 Nb 0.367 0.121 0.005 1
Nb6 Nb 0.380 0.206 0.241 1
Nb7 Nb 0.436 0.409 0.611 1
O1 O 0.069 0.538 0.781 1
O2 O 0.087 0.952 0.567 1
O3 O 0.093 0.230 0.185 1
O4 O 0.094 0.663 0.974 1
O5 O 0.108 0.734 0.186 1
O6 O 0.109 0.148 0.960 1
O7 O 0.119 0.435 0.589 1
O8 O 0.127 0.840 0.379 1
O9 O 0.287 0.026 0.126 1
O10 O 0.287 0.105 0.336 1
O11 O 0.288 0.334 0.722 1
O12 O 0.298 0.614 0.341 1
O13 O 0.311 0.916 0.954 1
O14 O 0.326 0.224 0.531 1
O15 O 0.327 0.815 0.753 1
O16 O 0.465 0.391 0.306 1
O17 O 0.478 0.808 0.095 1
O18 O 0.496 0.717 0.894 1
O19 O 0.500 0.000 0.500 1
O20 O 0.500 0.500 0.500 1